Na2ZrGaP3O12: optimized geometry, PBE-GGA.

```
Na2ZrGaP3O12
1.0
8.8776 -0.0434 0.0163
-4.4764 7.6665 -0.0163
0.0419 -0.0242 22.6263
Na O P Zr Ga
12 72 18 6 6
Direct
0.6665 0.3322 0.8287
0.6385 0.6346 0.7483
0.9999 0.9988 0.4954
0.0321 0.6948 0.5816
0.3332 0.6655 0.1621
0.3345 0.6668 0.6621
0.6988 0.0281 0.9150
0.0012 0.0001 0.9954
0.6678 0.3335 0.3287
0.3052 0.9679 0.0816
0.3654 0.3615 0.2483
0.9719 0.3012 0.4150
0.6266 0.1255 0.1368
0.4835 0.3141 0.7448
0.4596 0.1488 0.5295
0.8512 0.5404 0.0295
0.4891 0.3539 0.4215
0.8168 0.9807 0.4114
0.8522 0.3113 0.5258
0.4768 0.1756 0.2434
0.1262 0.4822 0.8629
0.8101 0.8423 0.9100
0.6929 0.5364 0.5315
0.4945 0.6391 0.5772
0.3128 0.8442 0.2549
0.6461 0.5109 0.9215
0.9664 0.1808 0.3093
0.5411 0.7067 0.9702
0.6859 0.5165 0.2448
0.1605 0.4692 0.2562
0.0276 0.8388 0.4105
0.1558 0.6872 0.7549
0.8767 0.5097 0.1400
0.1612 0.9724 0.9105
0.5434 0.8431 0.4734
0.8224 0.0205 0.0882
0.4938 0.1359 0.9228
0.0220 0.8145 0.6924
0.1855 0.9780 0.1924
0.7970 0.9738 0.6982
0.4859 0.3669 0.1426
0.6331 0.5141 0.6426
0.2078 0.0401 0.3035
0.8641 0.5062 0.4228
0.1569 0.4566 0.9734
0.8745 0.3734 0.6368
0.1502 0.6474 0.0781
0.1845 0.2071 0.6962
0.6942 0.1722 0.7438
0.3596 0.8697 0.8648
0.2998 0.8475 0.9760
0.1434 0.5089 0.5767
0.7929 0.8155 0.1962
0.2933 0.4589 0.4702
0.9599 0.7922 0.8035
0.6887 0.1478 0.0258
0.1525 0.7002 0.4760
0.4911 0.8566 0.0767
0.1918 0.0105 0.5894
0.6562 0.1415 0.4227
0.2100 0.1764 0.8067
0.3526 0.8498 0.5781
0.5178 0.8738 0.3629
0.8192 0.0336 0.8093
0.3609 0.5055 0.0772
0.9795 0.1776 0.5882
0.9895 0.8082 0.0894
0.3553 0.4811 0.3591
0.1577 0.1899 0.4100
0.0193 0.1832 0.9114
0.3228 0.4749 0.7561
0.1974 0.1728 0.0895
0.4636 0.3071 0.0315
0.8236 0.7900 0.3067
0.8272 0.8026 0.5895
0.8585 0.3438 0.9227
0.8244 0.5232 0.7434
0.1303 0.6404 0.3648
0.4903 0.1233 0.6400
0.0262 0.2030 0.1982
0.5251 0.6772 0.2561
0.5189 0.6447 0.8591
0.5308 0.8395 0.7562
0.8278 0.3058 0.2438
0.6280 0.6751 0.9160
0.9916 0.7053 0.7493
0.7127 0.7015 0.2519
0.6318 0.9540 0.4186
0.0460 0.3682 0.9186
0.3214 0.9529 0.9193
0.0471 0.6786 0.4193
0.2985 0.2873 0.7519
0.7137 0.0120 0.7526
0.9880 0.2863 0.2526
0.6583 0.0387 0.0826
0.3804 0.3453 0.0859
0.3794 0.0348 0.5852
0.3249 0.3720 0.4160
0.6547 0.6196 0.5859
0.9652 0.6206 0.0852
0.2947 0.0084 0.2493
0.9613 0.3417 0.5826
0.6684 0.3425 0.9797
0.9908 0.9983 0.1463
0.6575 0.3316 0.4797
0.3350 0.6758 0.3130
0.3242 0.6650 0.8130
0.0017 0.0092 0.6463
0.3419 0.6676 0.5175
0.0086 0.0010 0.8508
0.6752 0.3343 0.1842
0.9990 0.9914 0.3508
0.3324 0.6581 0.0175
0.6657 0.3248 0.6842
```

Computed properties:
**E_tot**: -7.12 eV per atom



Na5ZrGa3P6O24: optimized geometry, PBE-GGA.

```
Na5ZrGa3P6O24
1.0
8.7785 0.0023 -0.0001
-4.3873 7.5948 0.0064
-0.0001 0.0189 22.2100
O Na P Ga Zr
72 15 18 9 3
Direct
0.9618 0.7946 0.8038
0.1829 0.1683 0.0919
0.8428 0.5456 0.0314
0.0267 0.1865 0.9112
0.8826 0.5117 0.1424
0.8327 0.0195 0.0918
0.3532 0.8543 0.5782
0.8302 0.5234 0.7435
0.3120 0.8350 0.2565
0.3582 0.8755 0.8617
0.4767 0.1670 0.2431
0.6343 0.1186 0.1434
0.0267 0.8207 0.6903
0.6432 0.1348 0.4205
0.1844 0.0152 0.5912
0.1648 0.4767 0.2558
0.8654 0.5078 0.4210
0.6899 0.5227 0.2430
0.3534 0.4991 0.0788
0.8325 0.0390 0.8041
0.8328 0.3103 0.2432
0.5420 0.8431 0.4736
0.2989 0.4599 0.4710
0.1722 0.9605 0.1940
0.4935 0.1212 0.6400
0.6349 0.5156 0.6435
0.3599 0.4855 0.3561
0.1561 0.6833 0.7530
0.1442 0.5035 0.5775
0.7870 0.8238 0.1917
0.4908 0.1383 0.9226
0.6470 0.5093 0.9222
0.1445 0.6410 0.0778
0.9749 0.8118 0.0921
0.7013 0.5424 0.5314
0.9612 0.1671 0.3038
0.8329 0.7939 0.3038
0.8321 0.8126 0.5909
0.8824 0.3709 0.6425
0.7023 0.1580 0.0317
0.1273 0.6403 0.3577
0.5441 0.6990 0.9749
0.2085 0.0400 0.3051
0.2979 0.8425 0.9741
0.1592 0.9730 0.9108
0.8091 0.9697 0.4095
0.5021 0.6518 0.5779
0.5133 0.8723 0.3576
0.1555 0.4560 0.9751
0.0364 0.2132 0.1917
0.4792 0.3111 0.7431
0.0300 0.8389 0.4097
0.4887 0.3695 0.1423
0.5238 0.6889 0.2558
0.1709 0.2060 0.6939
0.4554 0.1539 0.5291
0.9745 0.1638 0.5916
0.8136 0.8410 0.9107
0.2072 0.1727 0.8064
0.6987 0.1727 0.7423
0.1609 0.1908 0.4092
0.5336 0.8378 0.7534
0.8624 0.3537 0.9227
0.5184 0.6437 0.8603
0.3115 0.4700 0.7545
0.1575 0.6993 0.4736
0.7936 0.9677 0.6911
0.5022 0.8498 0.0782
0.4561 0.3018 0.0308
0.4920 0.3581 0.4203
0.8413 0.2979 0.5311
0.1252 0.4820 0.8605
0.0085 0.0093 0.4962
0.0078 0.9991 0.9961
0.0316 0.6999 0.5821
0.6577 0.3238 0.8321
0.9976 0.3625 0.7482
0.3324 0.6745 0.1657
0.0318 0.3317 0.0826
0.6656 0.9676 0.5818
0.6331 0.9992 0.2523
0.3331 0.6654 0.6622
0.0009 0.6345 0.2524
0.6665 0.3334 0.3352
0.6381 0.6322 0.7481
0.6658 0.6988 0.0824
0.3659 0.3669 0.2528
0.2898 0.2796 0.7496
0.6640 0.0357 0.0863
0.6322 0.6775 0.9176
0.3236 0.3743 0.4145
0.0450 0.3681 0.9179
0.9653 0.6319 0.0859
0.7182 0.0073 0.7481
0.6637 0.6273 0.5859
0.0503 0.6759 0.4155
0.2895 0.0005 0.2506
0.9993 0.2892 0.2498
0.3225 0.9559 0.9183
0.9641 0.3337 0.5857
0.7110 0.7103 0.2498
0.6260 0.9495 0.4153
0.3704 0.0395 0.5851
0.3691 0.3303 0.0860
0.9947 0.7125 0.7481
0.0005 0.0000 0.3547
0.0025 0.0012 0.8529
0.0053 0.9992 0.1508
0.0074 0.0064 0.6489
0.6587 0.3268 0.6827
0.3327 0.6731 0.0150
0.3332 0.6667 0.3203
0.3325 0.6597 0.5140
0.6654 0.3315 0.1824
0.6654 0.3330 0.9789
0.6641 0.3323 0.4772
0.3340 0.6736 0.8141
```

Computed properties:
**E_tot**: -6.77 eV per atom
**Space group**: No. 1



Na3Zr3GaP6O24: optimized geometry, PBE-GGA.

```
Na3Zr3GaP6O24
1.0
8.8841 -0.0097 -0.0002
-4.4505 7.6769 0.0002
-0.0006 0.0003 23.0148
O P Zr Ga Na
72 18 9 3 9
Direct
0.6425 0.5042 0.9221
0.8675 0.3626 0.6381
0.8606 0.3562 0.9223
0.7940 0.8194 0.1969
0.4927 0.1305 0.6397
0.1701 0.9757 0.9099
0.8164 0.9824 0.4087
0.3218 0.4765 0.7556
0.8279 0.0274 0.0908
0.5168 0.6418 0.8602
0.4903 0.3517 0.4221
0.3613 0.4962 0.0790
0.6374 0.1315 0.1400
0.8059 0.8296 0.9099
0.1545 0.6988 0.4701
0.2115 0.1804 0.8029
0.5044 0.8648 0.0788
0.5362 0.6920 0.9694
0.5301 0.8385 0.7558
0.1986 0.0258 0.5903
0.1363 0.4966 0.5777
0.4647 0.3080 0.0317
0.9736 0.8014 0.0904
0.2986 0.4575 0.4679
0.4736 0.1721 0.2433
0.9674 0.1792 0.3078
0.9643 0.7877 0.8021
0.3575 0.4821 0.3601
0.0246 0.8190 0.6952
0.4834 0.3167 0.7421
0.8480 0.3081 0.5280
0.1262 0.6374 0.3632
0.1539 0.4613 0.9710
0.4894 0.3608 0.1421
0.0292 0.2035 0.1988
0.3602 0.8636 0.5783
0.1603 0.1894 0.4082
0.8688 0.5067 0.1399
0.9731 0.1727 0.5902
0.6895 0.1694 0.7415
0.8274 0.5225 0.7415
0.0237 0.1941 0.9104
0.6552 0.1426 0.4227
0.1571 0.6843 0.7551
0.5157 0.8738 0.3628
0.8203 0.0316 0.8030
0.8640 0.5057 0.4229
0.5279 0.6821 0.2572
0.0234 0.8366 0.4078
0.5029 0.6389 0.5781
0.8276 0.8025 0.5905
0.1976 0.1719 0.0908
0.1823 0.2075 0.6957
0.1275 0.4861 0.8628
0.2087 0.0392 0.3044
0.8452 0.5375 0.0303
0.1355 0.6396 0.0787
0.6929 0.1557 0.0303
0.4954 0.1394 0.9223
0.1611 0.4672 0.2575
0.3068 0.8456 0.9708
0.6914 0.5354 0.5317
0.3115 0.8436 0.2569
0.7926 0.9704 0.6962
0.6854 0.5196 0.2437
0.8314 0.3080 0.2432
0.3586 0.8725 0.8626
0.1788 0.9748 0.1964
0.5442 0.8464 0.4701
0.6383 0.5112 0.6418
0.4624 0.1545 0.5304
0.8245 0.7913 0.3055
0.6649 0.6189 0.5867
0.6662 0.0489 0.0861
0.0426 0.6765 0.4157
0.3272 0.3682 0.4143
0.2925 0.0070 0.2504
0.3816 0.0467 0.5861
0.9522 0.6178 0.0860
0.2999 0.2917 0.7486
0.9939 0.7013 0.7480
0.9896 0.2849 0.2517
0.0412 0.3748 0.9175
0.3330 0.9582 0.9173
0.6334 0.9581 0.4158
0.7090 0.0094 0.7486
0.7149 0.7057 0.2511
0.6242 0.6665 0.9161
0.3818 0.3338 0.0868
0.9522 0.3350 0.5848
0.0011 0.0021 0.8523
0.3349 0.6739 0.3126
0.3337 0.6667 0.0223
0.3345 0.6686 0.5204
0.6610 0.3340 0.4811
0.3280 0.6673 0.8141
0.0020 0.0027 0.6455
0.9975 0.9976 0.1466
0.6665 0.3338 0.9812
0.6676 0.3272 0.6833
0.9985 0.9920 0.3481
0.6738 0.3329 0.1840
0.3326 0.6748 0.1651
0.3669 0.3628 0.2475
0.6671 0.3252 0.8317
0.3253 0.6671 0.6653
0.9707 0.2995 0.4139
0.6676 0.3335 0.3282
0.0006 0.9918 0.4972
0.6375 0.6332 0.7478
0.9999 0.9998 0.0010
```

Computed properties:
**E_tot**: -7.52 eV per atom
**Space group**: No. 1



The lowest E_tot belongs to which entry? Na3Zr3GaP6O24



Number 1 is which compound? Na2ZrGaP3O12